Pr3Se3N | PBE-GGA | optimized geometry

Cell lengths 4.187, 12.881, 13.590 Å; angles 90.00, 90.00, 90.00 degrees
Fractional positions:
Pr (0.250, 0.716, 0.866)
Pr (0.750, 0.284, 0.134)
Pr (0.750, 0.784, 0.366)
Pr (0.250, 0.216, 0.634)
Pr (0.250, 0.581, 0.631)
Pr (0.750, 0.419, 0.369)
Pr (0.750, 0.919, 0.131)
Pr (0.250, 0.081, 0.869)
Pr (0.250, 0.534, 0.154)
Pr (0.750, 0.466, 0.846)
Pr (0.750, 0.966, 0.654)
Pr (0.250, 0.034, 0.346)
Se (0.250, 0.767, 0.195)
Se (0.750, 0.233, 0.805)
Se (0.750, 0.733, 0.695)
Se (0.250, 0.267, 0.305)
Se (0.250, 0.084, 0.108)
Se (0.750, 0.916, 0.892)
Se (0.750, 0.416, 0.608)
Se (0.250, 0.584, 0.392)
Se (0.250, 0.864, 0.500)
Se (0.750, 0.136, 0.500)
Se (0.750, 0.636, 0.000)
Se (0.250, 0.364, 0.000)
N (0.250, 0.549, 0.797)
N (0.750, 0.451, 0.203)
N (0.750, 0.951, 0.297)
N (0.250, 0.049, 0.703)

Calculated values
Theoretical density   6.10 g/cm3
Crystal system   orthorhombic

***

Ba3La2Br12 | PBE-GGA | optimized geometry

Cell lengths 12.421, 12.421, 7.559 Å; angles 90.00, 90.00, 90.00 degrees
Fractional positions:
Ba (0.000, 0.000, 0.000)
Ba (0.683, 0.183, 0.500)
Ba (0.183, 0.317, 0.500)
Ba (0.500, 0.500, 0.000)
Ba (0.817, 0.683, 0.500)
Ba (0.317, 0.817, 0.500)
La (0.364, 0.136, 0.000)
La (0.864, 0.364, 0.000)
La (0.136, 0.636, 0.000)
La (0.636, 0.864, 0.000)
Br (0.500, 0.000, 0.257)
Br (0.500, 0.000, 0.743)
Br (0.209, 0.056, 0.270)
Br (0.209, 0.056, 0.730)
Br (0.692, 0.192, 0.000)
Br (0.944, 0.209, 0.270)
Br (0.944, 0.209, 0.730)
Br (0.444, 0.291, 0.270)
Br (0.444, 0.291, 0.730)
Br (0.192, 0.308, 0.000)
Br (0.709, 0.444, 0.270)
Br (0.709, 0.444, 0.730)
Br (0.000, 0.500, 0.743)
Br (0.000, 0.500, 0.257)
Br (0.291, 0.556, 0.270)
Br (0.291, 0.556, 0.730)
Br (0.808, 0.692, 0.000)
Br (0.556, 0.709, 0.270)
Br (0.556, 0.709, 0.730)
Br (0.056, 0.791, 0.270)
Br (0.056, 0.791, 0.730)
Br (0.308, 0.808, 0.000)
Br (0.791, 0.944, 0.270)
Br (0.791, 0.944, 0.730)

Calculated values
Theoretical density   4.69 g/cm3
Crystal system   tetragonal

***

RbErO2 | PBE-GGA | optimized geometry

Cell lengths 6.849, 6.849, 6.849 Å; angles 29.38, 29.38, 29.38 degrees
Fractional positions:
Rb (0.000, 0.000, 0.000)
Er (0.500, 0.500, 0.500)
O (0.775, 0.775, 0.775)
O (0.225, 0.225, 0.225)

Calculated values
Theoretical density   6.91 g/cm3
Crystal system   trigonal

***

TiZn10B8Rh18 | PBE-GGA | optimized geometry

Cell lengths 17.887, 17.887, 2.899 Å; angles 90.00, 90.00, 90.00 degrees
Fractional positions:
Ti (0.000, 0.000, 0.000)
Ti (0.500, 0.500, 0.000)
Zn (0.550, 0.050, 0.000)
Zn (0.450, 0.950, 0.000)
Zn (0.050, 0.450, 0.000)
Zn (0.950, 0.550, 0.000)
Zn (0.032, 0.188, 0.000)
Zn (0.968, 0.812, 0.000)
Zn (0.188, 0.968, 0.000)
Zn (0.532, 0.312, 0.000)
Zn (0.812, 0.032, 0.000)
Zn (0.468, 0.688, 0.000)
Zn (0.688, 0.532, 0.000)
Zn (0.312, 0.468, 0.000)
Zn (0.209, 0.709, 0.000)
Zn (0.791, 0.291, 0.000)
Zn (0.709, 0.791, 0.000)
Zn (0.291, 0.209, 0.000)
Zn (0.669, 0.169, 0.000)
Zn (0.331, 0.831, 0.000)
Zn (0.169, 0.331, 0.000)
Zn (0.831, 0.669, 0.000)
B (0.335, 0.039, 0.000)
B (0.665, 0.961, 0.000)
B (0.039, 0.665, 0.000)
B (0.835, 0.461, 0.000)
B (0.961, 0.335, 0.000)
B (0.165, 0.539, 0.000)
B (0.539, 0.835, 0.000)
B (0.461, 0.165, 0.000)
B (0.170, 0.126, 0.000)
B (0.830, 0.874, 0.000)
B (0.126, 0.830, 0.000)
B (0.670, 0.374, 0.000)
B (0.874, 0.170, 0.000)
B (0.330, 0.626, 0.000)
B (0.626, 0.670, 0.000)
B (0.374, 0.330, 0.000)
Rh (0.256, 0.088, 0.500)
Rh (0.744, 0.912, 0.500)
Rh (0.088, 0.744, 0.500)
Rh (0.756, 0.412, 0.500)
Rh (0.912, 0.256, 0.500)
Rh (0.244, 0.588, 0.500)
Rh (0.588, 0.756, 0.500)
Rh (0.412, 0.244, 0.500)
Rh (0.048, 0.326, 0.500)
Rh (0.952, 0.674, 0.500)
Rh (0.326, 0.952, 0.500)
Rh (0.548, 0.174, 0.500)
Rh (0.674, 0.048, 0.500)
Rh (0.452, 0.826, 0.500)
Rh (0.826, 0.548, 0.500)
Rh (0.174, 0.452, 0.500)
Rh (0.159, 0.211, 0.500)
Rh (0.841, 0.789, 0.500)
Rh (0.211, 0.841, 0.500)
Rh (0.659, 0.289, 0.500)
Rh (0.789, 0.159, 0.500)
Rh (0.341, 0.711, 0.500)
Rh (0.711, 0.659, 0.500)
Rh (0.289, 0.341, 0.500)
Rh (0.100, 0.067, 0.500)
Rh (0.900, 0.933, 0.500)
Rh (0.067, 0.900, 0.500)
Rh (0.600, 0.433, 0.500)
Rh (0.933, 0.100, 0.500)
Rh (0.400, 0.567, 0.500)
Rh (0.567, 0.600, 0.500)
Rh (0.433, 0.400, 0.500)
Rh (0.082, 0.582, 0.500)
Rh (0.918, 0.418, 0.500)
Rh (0.582, 0.918, 0.500)
Rh (0.418, 0.082, 0.500)

Calculated values
Theoretical density   9.46 g/cm3
Crystal system   tetragonal

***

K4BaTi6S20O | PBE-GGA | optimized geometry

Cell lengths 9.552, 9.552, 18.692 Å; angles 90.00, 90.00, 120.00 degrees
Fractional positions:
K (0.333, 0.667, 0.250)
K (0.667, 0.333, 0.750)
K (0.658, 0.658, 0.000)
K (0.342, 0.000, 0.000)
K (0.000, 0.342, 0.000)
K (0.342, 0.342, 0.500)
K (0.658, 0.000, 0.500)
K (0.000, 0.658, 0.500)
Ba (0.000, 0.000, 0.250)
Ba (0.000, 0.000, 0.750)
Ti (0.667, 0.137, 0.179)
Ti (0.863, 0.531, 0.179)
Ti (0.469, 0.333, 0.179)
Ti (0.137, 0.667, 0.821)
Ti (0.531, 0.863, 0.821)
Ti (0.333, 0.469, 0.821)
Ti (0.333, 0.863, 0.679)
Ti (0.137, 0.469, 0.679)
Ti (0.531, 0.667, 0.679)
Ti (0.863, 0.333, 0.321)
Ti (0.469, 0.137, 0.321)
Ti (0.667, 0.531, 0.321)
S (0.544, 0.898, 0.109)
S (0.102, 0.646, 0.109)
S (0.354, 0.456, 0.109)
S (0.898, 0.544, 0.891)
S (0.646, 0.102, 0.891)
S (0.456, 0.354, 0.891)
S (0.456, 0.102, 0.609)
S (0.898, 0.354, 0.609)
S (0.646, 0.544, 0.609)
S (0.102, 0.456, 0.391)
S (0.354, 0.898, 0.391)
S (0.544, 0.646, 0.391)
S (0.667, 0.333, 0.092)
S (0.333, 0.667, 0.908)
S (0.333, 0.667, 0.592)
S (0.667, 0.333, 0.408)
S (0.794, 0.025, 0.108)
S (0.975, 0.769, 0.108)
S (0.231, 0.206, 0.108)
S (0.025, 0.794, 0.892)
S (0.769, 0.975, 0.892)
S (0.206, 0.231, 0.892)
S (0.206, 0.975, 0.608)
S (0.025, 0.231, 0.608)
S (0.769, 0.794, 0.608)
S (0.975, 0.206, 0.392)
S (0.231, 0.025, 0.392)
S (0.794, 0.769, 0.392)
S (0.963, 0.332, 0.204)
S (0.668, 0.631, 0.204)
S (0.369, 0.037, 0.204)
S (0.332, 0.963, 0.796)
S (0.631, 0.668, 0.796)
S (0.037, 0.369, 0.796)
S (0.037, 0.668, 0.704)
S (0.332, 0.369, 0.704)
S (0.631, 0.963, 0.704)
S (0.668, 0.037, 0.296)
S (0.369, 0.332, 0.296)
S (0.963, 0.631, 0.296)
O (0.667, 0.333, 0.250)
O (0.333, 0.667, 0.750)

Calculated values
Theoretical density   2.78 g/cm3
Crystal system   hexagonal

***

EuPPt | PBE-GGA | optimized geometry

Cell lengths 4.140, 4.139, 8.584 Å; angles 90.07, 89.91, 120.08 degrees
Fractional positions:
Eu (0.000, 0.000, 0.000)
Eu (0.000, 0.000, 0.500)
P (0.333, 0.667, 0.750)
P (0.667, 0.333, 0.250)
Pt (0.667, 0.333, 0.750)
Pt (0.333, 0.667, 0.250)

Calculated values
Theoretical density   9.86 g/cm3
Crystal system   monoclinic

***

no.,electronic total energy (eV/cell)
1,-182.5
2,-141.6
3,-26.3
4,-445.4
5,-361.8
6,-50.6